Entry 1:
Here is a relaxed structure of Na3NdTi2Nb2O12 from the Materials Project. Energies are from PBE.

As for the excess energy over the best structure of this formula in the dataset: 0.8 kJ per mole of atoms.

Cell lengths 5.5128, 5.6018, 7.8460 Å; angles 89.90, 89.95, 89.83 degrees
Space group P1 (No. 1)
Unique sites:
Na1 0.0000 0.0000 0.0000 [1 per cell]
Na2 0.0111 0.9574 0.5015 [1 per cell]
Na3 0.5084 0.4972 0.0010 [1 per cell]
Nd1 0.4997 0.4371 0.5013 [1 per cell]
Ti1 0.0006 0.4669 0.2589 [1 per cell]
Ti2 0.5119 0.9636 0.7447 [1 per cell]
Nb1 0.0035 0.4751 0.7652 [1 per cell]
Nb2 0.5095 0.9658 0.2364 [1 per cell]
O1 0.0706 0.4711 0.0047 [1 per cell]
O2 0.2269 0.2209 0.2986 [1 per cell]
O3 0.2299 0.2195 0.7045 [1 per cell]
O4 0.2931 0.7032 0.2952 [1 per cell]
O5 0.2963 0.7057 0.7076 [1 per cell]
O6 0.4296 0.9804 0.9979 [1 per cell]
O7 0.5740 0.0047 0.5047 [1 per cell]
O8 0.7130 0.2812 0.7755 [1 per cell]
O9 0.7152 0.2841 0.2285 [1 per cell]
O10 0.7869 0.7784 0.7845 [1 per cell]
O11 0.7918 0.7755 0.2153 [1 per cell]
O12 0.9282 0.5070 0.4974 [1 per cell]

Entry 2:
Here is a relaxed structure of LiBi3I2O4 from the Materials Project. Energies are from PBE.

Cell lengths 5.6509, 5.6537, 13.4536 Å; angles 90.00, 90.00, 90.00 degrees
Space group Amm2 (No. 38)
Unique sites:
Li1 0.0000 0.0000 0.0000 [2 per cell]
Bi1 0.0000 0.0000 0.6278 [2 per cell]
Bi2 0.5000 0.0000 0.1253 [2 per cell]
Bi3 0.5000 0.0000 0.4588 [2 per cell]
I1 0.0000 0.0000 0.2863 [2 per cell]
I2 0.5000 0.0000 0.7937 [2 per cell]
O1 0.2529 0.2464 0.5433 [8 per cell]

| no. | formation energy from the elements (kJ/mol of formula units) |
| --- | --- |
| 1 | -6027 |
| 2 | -1451 |